1) Here is a relaxed K2Co2Mo3O12 crystal from Materials Project. Energies are from GGA+U.

Results
Crystal system: monoclinic

CIF file:
```
data_K2Co2Mo3O12
_space_group_name_H-M_alt 'P 1 21/c 1'
_space_group_IT_number 14
_cell_length_a 7.1060
_cell_length_b 9.1632
_cell_length_c 20.3095
_cell_angle_alpha 90.00
_cell_angle_beta 108.32
_cell_angle_gamma 90.00
loop_
_space_group_symop_operation_xyz
'x,y,z'
'-x,-y,-z'
'-x,y+1/2,-z+1/2'
'x,-y+1/2,z+1/2'
loop_
_atom_site_label
_atom_site_fract_x
_atom_site_fract_y
_atom_site_fract_z
K1 0.0106 0.0216 0.2757
K2 0.3106 0.5438 0.0923
Co1 0.2241 0.1528 0.1354
Co2 0.4259 0.5754 0.5597
Mo1 0.0856 0.1631 0.9604
Mo2 0.3044 0.7321 0.4020
Mo3 0.4506 0.6572 0.7289
O1 0.0438 0.2010 0.3971
O2 0.0581 0.6688 0.3545
O3 0.1245 0.2368 0.5401
O4 0.1359 0.5432 0.5652
O5 0.2850 0.7089 0.2393
O6 0.3087 0.0602 0.9620
O7 0.3225 0.1602 0.6966
O8 0.3256 0.0175 0.2205
O9 0.3309 0.5898 0.8737
O10 0.3379 0.7502 0.4937
O11 0.4941 0.1964 0.8507
O12 0.4954 0.1202 0.1118
```

***

2) Here is a relaxed K2Co2Mo3O12 crystal from Materials Project. Energies are from GGA+U.

Results
Crystal system: monoclinic

CIF file:
```
data_K2Co2Mo3O12
_space_group_name_H-M_alt 'P 1 21/c 1'
_space_group_IT_number 14
_cell_length_a 14.2325
_cell_length_b 8.3879
_cell_length_c 20.1124
_cell_angle_alpha 90.00
_cell_angle_beta 105.70
_cell_angle_gamma 90.00
loop_
_space_group_symop_operation_xyz
'x,y,z'
'-x,-y,-z'
'-x,y+1/2,-z+1/2'
'x,-y+1/2,z+1/2'
loop_
_atom_site_label
_atom_site_fract_x
_atom_site_fract_y
_atom_site_fract_z
K1 0.0014 0.0170 0.2356
K2 0.2105 0.5228 0.5844
K3 0.3988 0.5142 0.4118
K4 0.4871 0.6802 0.7175
Co1 0.0859 0.1710 0.6240
Co2 0.2101 0.5462 0.0533
Co3 0.2786 0.1244 0.4299
Co4 0.3832 0.5677 0.8418
Mo1 0.0342 0.1876 0.4529
Mo2 0.1731 0.7357 0.8975
Mo3 0.2425 0.2358 0.2559
Mo4 0.2489 0.6264 0.2322
Mo5 0.3796 0.2024 0.5877
Mo6 0.4604 0.6395 0.0499
O1 0.0114 0.1744 0.8865
O2 0.0452 0.2053 0.0321
O3 0.0488 0.6834 0.8536
O4 0.0677 0.5387 0.0660
O5 0.1458 0.1450 0.1847
O6 0.1521 0.0917 0.4595
O7 0.1562 0.7478 0.2478
O8 0.1579 0.0618 0.7116
O9 0.1851 0.7418 0.9897
O10 0.2009 0.5706 0.3757
O11 0.2041 0.2075 0.3323
O12 0.2572 0.6726 0.1460
O13 0.2660 0.5972 0.8817
O14 0.2666 0.1683 0.6115
O15 0.3276 0.0797 0.7751
O16 0.3338 0.2026 0.0028
O17 0.3367 0.0875 0.2592
O18 0.3398 0.5164 0.0235
O19 0.3568 0.7297 0.2881
O20 0.4086 0.1470 0.4016
O21 0.4194 0.6716 0.5660
O22 0.4365 0.1389 0.1408
O23 0.4665 0.0254 0.6354
O24 0.4786 0.6596 0.9633
```

***

Most stable one: 2), least stable one: 1).

***

1) Here is a relaxed K2Na4Co2O5 crystal from Materials Project. Energies are from GGA+U.

Results
Crystal system: monoclinic

CIF file:
```
data_K2Na4Co2O5
_space_group_name_H-M_alt 'P 1 21/c 1'
_space_group_IT_number 14
_cell_length_a 6.3874
_cell_length_b 6.3859
_cell_length_c 12.2516
_cell_angle_alpha 90.00
_cell_angle_beta 121.32
_cell_angle_gamma 90.00
loop_
_space_group_symop_operation_xyz
'x,y,z'
'-x,-y,-z'
'-x,y+1/2,-z+1/2'
'x,-y+1/2,z+1/2'
loop_
_atom_site_label
_atom_site_fract_x
_atom_site_fract_y
_atom_site_fract_z
K1 0.2146 0.1959 0.0186
Na1 0.2456 0.5009 0.2500
Na2 0.2753 0.5007 0.7793
Co1 0.2878 0.7130 0.0009
O1 0.0519 0.7145 0.3388
O2 0.3791 0.7139 0.6638
O3 0.5000 0.0000 0.5000
```

***

2) Here is a relaxed K2Na4Co2O5 crystal from Materials Project. Energies are from GGA+U.

Results
Crystal system: tetragonal

CIF file:
```
data_K2Na4Co2O5
_space_group_name_H-M_alt 'P 42/m n m'
_space_group_IT_number 136
_space_group_name_Hall '-P 4n 2n'
_cell_length_a 6.3845
_cell_length_b 6.3845
_cell_length_c 10.4830
_cell_angle_alpha 90.00
_cell_angle_beta 90.00
_cell_angle_gamma 90.00
loop_
_atom_site_label
_atom_site_fract_x
_atom_site_fract_y
_atom_site_fract_z
K1 0.1961 0.1961 0.0000
Na1 0.0000 0.0000 0.2796
Na2 0.0000 0.5000 0.2500
Co1 0.2137 0.2137 0.5000
O1 0.0000 0.0000 0.5000
O2 0.2133 0.7867 0.1615
```

***

Most stable one: 1), least stable one: 2).

***

1) Here is a relaxed KCo2O4 crystal from Materials Project. Energies are from GGA+U.

Results
Crystal system: triclinic

CIF file:
```
data_KCo2O4
_space_group_name_H-M_alt 'P 1'
_space_group_IT_number 1
_cell_length_a 4.9352
_cell_length_b 5.7065
_cell_length_c 12.5907
_cell_angle_alpha 90.00
_cell_angle_beta 89.96
_cell_angle_gamma 89.97
loop_
_space_group_symop_operation_xyz
'x,y,z'
loop_
_atom_site_label
_atom_site_fract_x
_atom_site_fract_y
_atom_site_fract_z
K1 0.0000 0.0000 0.0000
K2 0.0735 0.5004 0.5000
K3 0.4006 0.5012 0.9987
K4 0.6729 0.9991 0.4988
Co1 0.0365 0.5002 0.7504
Co2 0.0363 0.5013 0.2471
Co3 0.0370 0.0002 0.2504
Co4 0.0372 0.9990 0.7471
Co5 0.5368 0.2486 0.2491
Co6 0.5367 0.2517 0.7491
Co7 0.5368 0.7504 0.2490
Co8 0.5367 0.7500 0.7490
O1 0.2002 0.7490 0.1709
O2 0.1999 0.7538 0.8271
O3 0.2043 0.2472 0.8272
O4 0.2049 0.2505 0.1708
O5 0.3667 0.0020 0.6716
O6 0.3673 0.4981 0.3246
O7 0.3715 0.0029 0.3263
O8 0.3732 0.4972 0.6733
O9 0.7004 0.0031 0.1732
O10 0.7018 0.4973 0.8262
O11 0.7061 0.0023 0.8246
O12 0.7071 0.4985 0.1716
O13 0.8690 0.2497 0.6708
O14 0.8688 0.2531 0.3272
O15 0.8735 0.7466 0.3270
O16 0.8734 0.7514 0.6709
```

***

2) Here is a relaxed KCo2O4 crystal from Materials Project. Energies are from GGA+U.

Results
Crystal system: hexagonal

CIF file:
```
data_KCo2O4
_space_group_name_H-M_alt 'P -6 m 2'
_space_group_IT_number 187
_space_group_name_Hall 'P -6 2'
_cell_length_a 3.0469
_cell_length_b 3.0469
_cell_length_c 11.9149
_cell_angle_alpha 90.00
_cell_angle_beta 90.00
_cell_angle_gamma 120.00
loop_
_atom_site_label
_atom_site_fract_x
_atom_site_fract_y
_atom_site_fract_z
K1 0.0000 0.0000 0.0000
Co1 0.6667 0.3333 0.2553
O1 0.0000 0.0000 0.3272
O2 0.3333 0.6667 0.1644
```

***

3) Here is a relaxed KCo2O4 crystal from Materials Project. Energies are from GGA+U.

Results
Crystal system: orthorhombic

CIF file:
```
data_KCo2O4
_space_group_name_H-M_alt 'A m m 2'
_space_group_IT_number 38
_cell_length_a 12.0896
_cell_length_b 3.2248
_cell_length_c 5.0372
_cell_angle_alpha 90.00
_cell_angle_beta 90.00
_cell_angle_gamma 90.00
loop_
_space_group_symop_operation_xyz
'x,y,z'
'-x,-y,z'
'-x,y,z'
'x,-y,z'
'x,y+1/2,z+1/2'
'-x,-y+1/2,z+1/2'
'-x,y+1/2,z+1/2'
'x,-y+1/2,z+1/2'
loop_
_atom_site_label
_atom_site_fract_x
_atom_site_fract_y
_atom_site_fract_z
K1 0.0000 0.0000 0.0000
Co1 0.2535 0.0000 0.6650
O1 0.1609 0.0000 0.3566
O2 0.3242 0.0000 0.9800
```

***

Most stable one: 1), least stable one: 2).

***

1) Here is a relaxed KCoP3O9 crystal from Materials Project. Energies are from GGA+U.

Results
Crystal system: triclinic

CIF file:
```
data_KCoP3O9
_space_group_name_H-M_alt 'P 1'
_space_group_IT_number 1
_cell_length_a 7.1980
_cell_length_b 7.6192
_cell_length_c 10.0335
_cell_angle_alpha 90.62
_cell_angle_beta 108.73
_cell_angle_gamma 117.29
loop_
_space_group_symop_operation_xyz
'x,y,z'
loop_
_atom_site_label
_atom_site_fract_x
_atom_site_fract_y
_atom_site_fract_z
K1 0.0000 0.0000 0.0000
K2 0.3901 0.0097 0.3545
Co1 0.5336 0.5948 0.4307
Co2 0.5459 0.1002 0.9624
P1 0.0859 0.4906 0.0741
P2 0.0884 0.6568 0.8120
P3 0.4324 0.7127 0.7056
P4 0.5197 0.4574 0.1630
P5 0.5570 0.3961 0.6964
P6 0.7446 0.8977 0.2327
O1 0.0975 0.6731 0.1379
O2 0.1429 0.5274 0.9230
O3 0.1674 0.6146 0.6896
O4 0.1893 0.8746 0.8677
O5 0.2915 0.4573 0.1709
O6 0.4348 0.7268 0.5565
O7 0.4490 0.2917 0.0451
O8 0.4587 0.3583 0.5351
O9 0.4840 0.5360 0.7629
O10 0.5237 0.2261 0.7722
O11 0.5758 0.8913 0.8242
O12 0.5925 0.9737 0.1397
O13 0.6250 0.4413 0.3166
O14 0.6522 0.6716 0.1294
O15 0.6870 0.8451 0.3683
O16 0.8272 0.5596 0.7350
O17 0.8824 0.2878 0.0322
O18 0.9905 0.0118 0.2593
```

***

2) Here is a relaxed KCoP3O9 crystal from Materials Project. Energies are from GGA+U.

Results
Crystal system: hexagonal

CIF file:
```
data_KCoP3O9
_space_group_name_H-M_alt 'P -6 c 2'
_space_group_IT_number 188
_space_group_name_Hall 'P -6c 2'
_cell_length_a 6.7293
_cell_length_b 6.7293
_cell_length_c 9.9505
_cell_angle_alpha 90.00
_cell_angle_beta 90.00
_cell_angle_gamma 120.00
loop_
_atom_site_label
_atom_site_fract_x
_atom_site_fract_y
_atom_site_fract_z
K1 0.0000 0.0000 0.0000
Co1 0.6667 0.3333 0.0000
P1 0.0511 0.4421 0.2500
O1 0.1440 0.4293 0.7500
O2 0.4082 0.0700 0.1202
```

***

Most stable one: 2), least stable one: 1).